Ba3Nb2O8 | PBE-GGA | optimized geometry

a = 8.027 Å, b = 8.027 Å, c = 8.027 Å
α = 45.21°, β = 45.21°, γ = 45.21°
Fractional coordinates of all 13 atoms:
Ba (0.000, 0.000, 0.000)
Ba (0.199, 0.199, 0.199)
Ba (0.801, 0.801, 0.801)
Nb (0.406, 0.406, 0.406)
Nb (0.594, 0.594, 0.594)
O (0.233, 0.732, 0.732)
O (0.268, 0.268, 0.767)
O (0.268, 0.767, 0.268)
O (0.319, 0.319, 0.319)
O (0.681, 0.681, 0.681)
O (0.732, 0.233, 0.732)
O (0.732, 0.732, 0.233)
O (0.767, 0.268, 0.268)

Output
calculated formation energy	-42.4	eV per formula unit
V	18.246	Å³ per atom